Record 1
## CaMg6FeO8 (PBE+U)

Data for a relaxed CaMg6FeO8 crystal.

abc: 4.4003 4.4003 8.6692
angles: 90.00 90.00 90.00
Space group P4/mmm (No. 123)
One atom of each set of equivalent atoms:
1 Ca 0.0000 0.0000 0.0000 x1
2 Mg 0.0000 0.5000 0.2567 x4
3 Mg 0.5000 0.5000 0.0000 x1
4 Mg 0.5000 0.5000 0.5000 x1
5 Fe 0.0000 0.0000 0.5000 x1
6 O 0.0000 0.0000 0.2619 x2
7 O 0.0000 0.5000 0.0000 x2
8 O 0.0000 0.5000 0.5000 x2
9 O 0.5000 0.5000 0.2507 x2

Computed properties:
Calculated density: 3658 kg/m3
Final energy: -6.055 eV per atom
ΔE to the lowest computed polymorph: 0.0 meV per atom
ΔH_f (0 K): -64.81 kcal/mol of atoms
Total moment: 4.008 Bohr magnetons per cell



Record 2
## K2Mn2Be3F12 (PBE+U)

Data for a relaxed K2Mn2Be3F12 crystal.

abc: 10.2350 10.2659 20.4278
angles: 90.00 90.05 90.00
Space group P2_1 (No. 4)
One atom of each set of equivalent atoms:
1 K 0.0395 0.0173 0.3436 x2
2 K 0.0650 0.0000 0.8514 x2
3 K 0.1714 0.2686 0.5233 x2
4 K 0.1980 0.2786 0.0309 x2
5 K 0.3148 0.6499 0.2830 x2
6 K 0.3225 0.6425 0.7794 x2
7 K 0.4547 0.9019 0.6037 x2
8 K 0.4602 0.9146 0.0994 x2
9 Mn 0.1001 0.8479 0.1680 x2
10 Mn 0.0995 0.8707 0.6667 x2
11 Mn 0.1552 0.6402 0.9502 x2
12 Mn 0.1917 0.6109 0.4590 x2
13 Mn 0.3161 0.2987 0.7007 x2
14 Mn 0.3255 0.2902 0.2112 x2
15 Mn 0.3886 0.0530 0.4153 x2
16 Mn 0.4140 0.0637 0.9238 x2
17 Be 0.0072 0.1738 0.6864 x2
18 Be 0.0124 0.1700 0.1941 x2
19 Be 0.1169 0.9429 0.5096 x2
20 Be 0.1303 0.9466 0.0147 x2
21 Be 0.2141 0.3368 0.3615 x2
22 Be 0.2158 0.3374 0.8666 x2
23 Be 0.2701 0.5774 0.1113 x2
24 Be 0.2892 0.5873 0.6170 x2
25 Be 0.3810 0.9618 0.2610 x2
26 Be 0.3837 0.9782 0.7579 x2
27 Be 0.4820 0.7491 0.9345 x2
28 Be 0.4964 0.7564 0.4477 x2
29 F 0.0159 0.0198 0.2059 x2
30 F 0.0258 0.4999 0.4941 x2
31 F 0.0266 0.7347 0.7394 x2
32 F 0.0282 0.0538 0.0338 x2
33 F 0.0414 0.0408 0.7206 x2
34 F 0.0562 0.7716 0.2644 x2
35 F 0.0649 0.8283 0.9791 x2
36 F 0.0706 0.3060 0.3826 x2
37 F 0.0751 0.2867 0.8834 x2
38 F 0.0982 0.6484 0.3678 x2
39 F 0.0977 0.7107 0.8549 x2
40 F 0.1124 0.7962 0.4884 x2
41 F 0.1331 0.2350 0.6562 x2
42 F 0.1480 0.2160 0.1682 x2
43 F 0.1696 0.6535 0.1546 x2
44 F 0.1755 0.9654 0.5797 x2
45 F 0.1965 0.0258 0.4585 x2
46 F 0.1999 0.9023 0.0787 x2
47 F 0.2032 0.7099 0.6268 x2
48 F 0.2120 0.5559 0.0411 x2
49 F 0.2241 0.3880 0.2895 x2
50 F 0.2269 0.0147 0.9656 x2
51 F 0.2318 0.3347 0.7917 x2
52 F 0.2414 0.4784 0.8940 x2
53 F 0.2429 0.4874 0.6705 x2
54 F 0.2710 0.5324 0.5468 x2
55 F 0.2725 0.4377 0.4108 x2
56 F 0.2777 0.8936 0.7222 x2
57 F 0.2829 0.4413 0.1438 x2
58 F 0.2899 0.8921 0.2099 x2
59 F 0.2950 0.2098 0.3668 x2
60 F 0.3211 0.2491 0.9019 x2
61 F 0.3258 0.9389 0.3314 x2
62 F 0.3332 0.7285 0.9308 x2
63 F 0.3437 0.9940 0.8313 x2
64 F 0.3775 0.6770 0.4217 x2
65 F 0.3951 0.1085 0.2450 x2
66 F 0.4015 0.2754 0.6080 x2
67 F 0.4030 0.1121 0.7226 x2
68 F 0.4062 0.6479 0.1101 x2
69 F 0.4314 0.1850 0.4948 x2
70 F 0.4355 0.6243 0.6291 x2
71 F 0.4484 0.8923 0.4732 x2
72 F 0.4488 0.1472 0.0194 x2
73 F 0.4594 0.2256 0.1347 x2
74 F 0.4813 0.3959 0.7471 x2
75 F 0.4851 0.4017 0.2519 x2
76 F 0.4916 0.3907 0.0392 x2

Computed properties:
Calculated density: 2742 kg/m3
Final energy: -5.711 eV per atom
ΔE to the lowest computed polymorph: 0.0 meV per atom
ΔH_f (0 K): -76.04 kcal/mol of atoms
Total moment: 80.003 Bohr magnetons per cell



Record 3
## Ba4Sr4Co3Cu5O20 (PBE+U)

Data for a relaxed Ba4Sr4Co3Cu5O20 crystal.

abc: 11.2436 11.2866 17.9247
angles: 108.20 107.97 90.47
Space group P1 (No. 1)
One atom of each set of equivalent atoms:
1 Ba 0.0000 0.0000 0.0000 x1
2 Ba 0.0012 0.4952 0.0019 x1
3 Ba 0.1247 0.1166 0.7388 x1
4 Ba 0.1255 0.6254 0.2476 x1
5 Ba 0.1258 0.6148 0.7361 x1
6 Ba 0.1278 0.1193 0.2454 x1
7 Ba 0.2608 0.2474 0.0002 x1
8 Ba 0.2613 0.7480 0.0010 x1
9 Ba 0.3753 0.8705 0.2465 x1
10 Ba 0.4968 0.4977 0.9984 x1
11 Ba 0.4994 0.9966 0.9976 x1
12 Ba 0.7521 0.2537 0.4987 x1
13 Ba 0.7557 0.7495 0.9992 x1
14 Ba 0.7594 0.2448 0.0008 x1
15 Ba 0.8635 0.3694 0.7346 x1
16 Ba 0.8674 0.3704 0.2437 x1
17 Sr 0.0130 0.0021 0.5101 x1
18 Sr 0.0131 0.5020 0.5095 x1
19 Sr 0.2540 0.7511 0.5077 x1
20 Sr 0.2680 0.2473 0.5098 x1
21 Sr 0.3631 0.8595 0.7284 x1
22 Sr 0.3707 0.3610 0.7295 x1
23 Sr 0.3815 0.3678 0.2360 x1
24 Sr 0.5012 0.9990 0.5063 x1
25 Sr 0.5061 0.5002 0.5090 x1
26 Sr 0.6169 0.6075 0.2321 x1
27 Sr 0.6189 0.1147 0.7293 x1
28 Sr 0.6216 0.6085 0.7275 x1
29 Sr 0.6235 0.1235 0.2337 x1
30 Sr 0.7507 0.7481 0.5076 x1
31 Sr 0.8605 0.8597 0.7287 x1
32 Sr 0.8714 0.8648 0.2368 x1
33 Co 0.0584 0.3046 0.6118 x1
34 Co 0.0596 0.8009 0.6147 x1
35 Co 0.0641 0.8096 0.1231 x1
36 Co 0.0752 0.3183 0.1376 x1
37 Co 0.3159 0.0549 0.6185 x1
38 Co 0.3217 0.0653 0.1316 x1
39 Co 0.3217 0.5572 0.1290 x1
40 Co 0.5607 0.8017 0.6183 x1
41 Co 0.5745 0.8164 0.1365 x1
42 Co 0.8065 0.0525 0.6143 x1
43 Co 0.8110 0.5640 0.1258 x1
44 Co 0.8167 0.0674 0.1338 x1
45 Cu 0.2013 0.9293 0.8629 x1
46 Cu 0.2069 0.4307 0.8658 x1
47 Cu 0.2066 0.9380 0.3761 x1
48 Cu 0.2190 0.4368 0.3761 x1
49 Cu 0.3139 0.5516 0.6169 x1
50 Cu 0.4212 0.1898 0.3708 x1
51 Cu 0.4207 0.6796 0.8583 x1
52 Cu 0.4233 0.6853 0.3760 x1
53 Cu 0.4240 0.1794 0.8629 x1
54 Cu 0.5619 0.3042 0.6162 x1
55 Cu 0.5668 0.3093 0.1239 x1
56 Cu 0.6965 0.9282 0.8590 x1
57 Cu 0.7023 0.4350 0.8695 x1
58 Cu 0.7130 0.4482 0.3755 x1
59 Cu 0.7173 0.9346 0.3717 x1
60 Cu 0.8105 0.5569 0.6150 x1
61 Cu 0.9069 0.6957 0.3719 x1
62 Cu 0.9096 0.1772 0.8586 x1
63 Cu 0.9152 0.1840 0.3734 x1
64 Cu 0.9146 0.6865 0.8657 x1
65 O 0.0074 0.7338 0.9786 x1
66 O 0.0088 0.2250 0.9671 x1
67 O 0.0121 0.7225 0.4801 x1
68 O 0.0252 0.2208 0.4817 x1
69 O 0.0997 0.8749 0.7536 x1
70 O 0.1122 0.3731 0.7557 x1
71 O 0.1120 0.8794 0.2643 x1
72 O 0.1204 0.3774 0.2641 x1
73 O 0.1765 0.9230 0.6212 x1
74 O 0.1793 0.7000 0.1271 x1
75 O 0.1859 0.4163 0.6206 x1
76 O 0.1879 0.2023 0.1299 x1
77 O 0.1913 0.6809 0.6199 x1
78 O 0.2015 0.4491 0.1301 x1
79 O 0.2024 0.9477 0.1263 x1
80 O 0.2064 0.1710 0.6245 x1
81 O 0.2238 0.9811 0.4865 x1
82 O 0.2267 0.9787 0.9750 x1
83 O 0.2275 0.4823 0.9779 x1
84 O 0.2290 0.4711 0.4859 x1
85 O 0.2899 0.5903 0.3850 x1
86 O 0.2991 0.0816 0.3802 x1
87 O 0.3059 0.0630 0.8670 x1
88 O 0.3061 0.5648 0.8671 x1
89 O 0.3228 0.8118 0.8526 x1
90 O 0.3279 0.3126 0.8560 x1
91 O 0.3373 0.8288 0.3799 x1
92 O 0.3590 0.3413 0.3690 x1
93 O 0.4033 0.6108 0.7469 x1
94 O 0.4052 0.6178 0.2637 x1
95 O 0.4068 0.1088 0.7522 x1
96 O 0.4090 0.1253 0.2587 x1
97 O 0.4208 0.9332 0.6120 x1
98 O 0.4267 0.6753 0.1227 x1
99 O 0.4310 0.1748 0.1205 x1
100 O 0.4375 0.6854 0.6100 x1
101 O 0.4387 0.4273 0.6149 x1
102 O 0.4407 0.1760 0.6134 x1
103 O 0.4435 0.4304 0.1223 x1
104 O 0.4566 0.9255 0.1242 x1
105 O 0.5031 0.2380 0.4826 x1
106 O 0.5080 0.7348 0.9690 x1
107 O 0.5087 0.2370 0.9749 x1
108 O 0.5178 0.7352 0.4860 x1
109 O 0.5978 0.8592 0.7493 x1
110 O 0.6078 0.3657 0.7600 x1
111 O 0.6207 0.3723 0.2633 x1
112 O 0.6218 0.8542 0.2602 x1
113 O 0.6734 0.9278 0.6232 x1
114 O 0.6799 0.6951 0.1247 x1
115 O 0.6813 0.4336 0.6208 x1
116 O 0.6886 0.1867 0.1264 x1
117 O 0.6918 0.6851 0.6246 x1
118 O 0.6926 0.1725 0.6188 x1
119 O 0.6983 0.4454 0.1246 x1
120 O 0.7053 0.9441 0.1306 x1
121 O 0.7153 0.9759 0.4797 x1
122 O 0.7222 0.5008 0.4857 x1
123 O 0.7230 0.9798 0.9708 x1
124 O 0.7306 0.4892 0.9831 x1
125 O 0.7550 0.6059 0.3696 x1
126 O 0.7685 0.0830 0.3598 x1
127 O 0.7738 0.0701 0.8544 x1
128 O 0.7809 0.5706 0.8571 x1
129 O 0.8249 0.3199 0.8678 x1
130 O 0.8313 0.8262 0.8591 x1
131 O 0.8438 0.3409 0.3858 x1
132 O 0.8752 0.8578 0.3757 x1
133 O 0.8846 0.6286 0.2573 x1
134 O 0.8867 0.1129 0.7466 x1
135 O 0.8974 0.1218 0.2598 x1
136 O 0.8969 0.6283 0.7544 x1
137 O 0.9186 0.9346 0.6084 x1
138 O 0.9273 0.6761 0.1214 x1
139 O 0.9317 0.1708 0.1226 x1
140 O 0.9370 0.4343 0.6088 x1
141 O 0.9384 0.6906 0.6119 x1
142 O 0.9447 0.1844 0.6105 x1
143 O 0.9509 0.9207 0.1213 x1
144 O 0.9527 0.4213 0.1225 x1

Computed properties:
Calculated density: 5577 kg/m3
Final energy: -5.730 eV per atom
ΔH_f (0 K): -44.66 kcal/mol of atoms
Total moment: 39.952 Bohr magnetons per cell



> Number 1 is which compound?

CaMg6FeO8



> total moment of number 2 (K2Mn2Be3F12)?

80.003 Bohr magnetons per cell



> What is the total moment in the second record?

80.003 Bohr magnetons per cell